A relaxed structure of ReTc3, computed with PBE-GGA.

Structure (extended XYZ):
```
8
Lattice="5.5277 0.0000 0.0000 -2.7638 4.7871 0.0000 0.0000 0.0000 4.4409" Properties=species:S:1:pos:R:3 pbc="T T T"
Re 0.0000 3.1914 1.1102
Re 2.7638 1.5957 3.3307
Tc 0.0000 1.6029 3.3307
Tc -1.3757 3.9857 3.3307
Tc 1.3881 0.8014 1.1102
Tc 1.3757 3.9857 3.3307
Tc 4.1395 0.8014 1.1102
Tc 2.7638 3.1842 1.1102
```

The calculation puts the formation enthalpy at 0 K at -2 meV per atom. Its space-group type is No. 194.